No. 1
{"formula": "Eu2ZnGe3", "functional": "PBE", "state": "relaxed", "lattice_angstrom": [[-5.2319, 3.2863, -0.3226], [-1.6022, -2.3530, -5.4930], [-7.0284, -4.9625, 0.4784]], "species": ["Eu", "Ge", "Ge", "Eu", "Zn", "Zn", "Ge", "Ge", "Eu", "Ge", "Eu", "Ge"], "frac_coords": [[0.2431, 0.2431, 0.9992], [0.2010, 0.6948, 0.1683], [0.8004, 0.8004, 0.3371], [0.2488, 0.7512, 0.5000], [0.3093, 0.3093, 0.3318], [0.6907, 0.6907, 0.6682], [0.1996, 0.1996, 0.6629], [0.3052, 0.7990, 0.8317], [0.7569, 0.7569, 0.0008], [0.7990, 0.3052, 0.8317], [0.7512, 0.2488, 0.5000], [0.6948, 0.2010, 0.1683]], "rho_g_cm3": 6.9, "de_polymorph_mev_per_atom": 16}

No. 2
{"formula": "KNdHf4O12", "functional": "PBE", "state": "relaxed", "lattice_angstrom": [[0.6023, 3.8260, 4.2905], [-5.5241, -0.8753, 1.4583], [2.3076, -6.0758, 5.0941]], "species": ["O", "O", "O", "Nd", "O", "Hf", "O", "K", "O", "O", "O", "O", "Hf", "O", "Hf", "Hf", "O", "O"], "frac_coords": [[0.2727, 0.7273, 0.2448], [0.4846, 0.9432, 0.0000], [0.0568, 0.5154, 0.0000], [0.4789, 0.5211, 0.0000], [0.7594, 0.7592, 0.2297], [0.9925, 0.4937, 0.2549], [0.2727, 0.7273, 0.7552], [0.0163, 0.9837, 0.5000], [0.7141, 0.2859, 0.1960], [0.7594, 0.7592, 0.7703], [0.9832, 0.4778, 0.5000], [0.2408, 0.2406, 0.7703], [0.9925, 0.4937, 0.7451], [0.2408, 0.2406, 0.2297], [0.5063, 0.0075, 0.7451], [0.5063, 0.0075, 0.2549], [0.5222, 0.0168, 0.5000], [0.7141, 0.2859, 0.8040]], "rho_g_cm3": 6.6, "final_energy_ev_per_cell": -154.43}

No. 3
{"formula": "Na4Ga3Si3NO14", "functional": "PBE", "state": "relaxed", "lattice_angstrom": [[9.2264, 0.0430, -0.0106], [0.0532, 9.2633, 0.0192], [0.0002, 0.0306, 9.4064]], "species": ["Na", "O", "O", "Na", "O", "O", "Si", "O", "Ga", "O", "O", "O", "O", "Si", "O", "O", "O", "O", "Na", "O", "Ga", "Si", "O", "O", "O", "Na", "O", "O", "Na", "Ga", "O", "O", "Na", "O", "N", "Si", "O", "N", "O", "Si", "Ga", "O", "O", "O", "Na", "Si", "Ga", "Ga", "O", "Na"], "frac_coords": [[0.8093, 0.1855, 0.8198], [0.0761, 0.3419, 0.6623], [0.6531, 0.3312, 0.0506], [0.2927, 0.6918, 0.3250], [0.8568, 0.1376, 0.5928], [0.8700, 0.8832, 0.4422], [0.0026, 0.4806, 0.7452], [0.1422, 0.5586, 0.8205], [0.7608, 0.4932, 0.0002], [0.1169, 0.3801, 0.0743], [0.3647, 0.0715, 0.6075], [0.6317, 0.9567, 0.3253], [0.9155, 0.5815, 0.6282], [0.5107, 0.2448, 0.9881], [0.1462, 0.1381, 0.4346], [0.6563, 0.9307, 0.6382], [0.9474, 0.8270, 0.7299], [0.8583, 0.5595, 0.1634], [0.7970, 0.8039, 0.2169], [0.4345, 0.8322, 0.8459], [0.2526, 0.4884, 0.9693], [0.9829, 0.5094, 0.2818], [0.6790, 0.0907, 0.3960], [0.1736, 0.8634, 0.5456], [0.5632, 0.1324, 0.8635], [0.1948, 0.1810, 0.1933], [0.5492, 0.8336, 0.1087], [0.4430, 0.1640, 0.1304], [0.6841, 0.3176, 0.3000], [0.4954, 0.9887, 0.7384], [0.9235, 0.3638, 0.3621], [0.3183, 0.9539, 0.3242], [0.1852, 0.8024, 0.8022], [0.0404, 0.6463, 0.3714], [0.5883, 0.4088, 0.5300], [0.4911, 0.7322, 0.9802], [0.3523, 0.6419, 0.0452], [0.1745, 0.0644, 0.9124], [0.1457, 0.4604, 0.2108], [0.7696, 0.0010, 0.5258], [0.4756, 0.9855, 0.2094], [0.3037, 0.7637, 0.5655], [0.6315, 0.6326, 0.9312], [0.3874, 0.3500, 0.9163], [0.7034, 0.6957, 0.7054], [0.2610, 0.0098, 0.4799], [0.9862, 0.7533, 0.5422], [0.9976, 0.2489, 0.5092], [0.8788, 0.4242, 0.8580], [0.3284, 0.3124, 0.6819]], "rho_g_cm3": 2.6, "final_energy_ev_per_cell": -301.31}

No. 4
{"formula": "Gd3Ga2", "functional": "PBE", "state": "relaxed", "lattice_angstrom": [[-0.2328, 1.0001, 4.2513], [-7.1449, -2.8977, 0.2904], [2.8831, -6.9297, 1.7880]], "species": ["Gd", "Ga", "Ga", "Ga", "Gd", "Ga", "Gd", "Gd", "Gd", "Gd"], "frac_coords": [[0.0000, 0.6733, 0.3267], [0.5000, 0.1191, 0.8809], [0.5000, 0.6191, 0.6191], [0.5000, 0.8809, 0.1191], [0.0000, 0.1733, 0.1733], [0.5000, 0.3809, 0.3809], [0.0000, 0.8267, 0.8267], [0.5000, 0.5000, 0.0000], [0.0000, 0.3267, 0.6733], [0.5000, 0.0000, 0.5000]], "rho_g_cm3": 7.8, "final_energy_ev_per_cell": -101.66}